1.
Material: Rb2Pd3S4
Method: DFT, PBE-GGA
State: relaxed

Results
- Energy with MP2020 corrections: -4.7323 eV/atom
- E above lowest polymorph: 2 meV/atom
- Formation energy: -949 meV/atom

Cell lengths 8.595, 7.415, 6.259 Å; angles 77.38, 57.34, 45.29 degrees
Sites, in units of the cell vectors:
1 Rb 0.159 0.159 0.841
2 Rb 0.841 0.841 0.159
3 Pd 0.000 0.000 0.500
4 Pd 0.500 0.500 0.000
5 Pd 0.500 0.500 0.500
6 S 0.217 0.553 0.447
7 S 0.447 0.783 0.217
8 S 0.553 0.217 0.783
9 S 0.783 0.447 0.553

2.
Material: Rb2Pd3S4
Method: DFT, PBE-GGA
State: relaxed

Results
- Energy with MP2020 corrections: -4.7339 eV/atom
- E above lowest polymorph: 0 meV/atom
- Formation energy: -951 meV/atom

Cell lengths 14.747, 14.043, 6.309 Å; angles 83.67, 71.17, 25.16 degrees
Sites, in units of the cell vectors:
1 Rb 0.047 0.047 0.203
2 Rb 0.203 0.203 0.047
3 Rb 0.797 0.797 0.953
4 Rb 0.953 0.953 0.797
5 Pd 0.126 0.126 0.624
6 Pd 0.375 0.375 0.375
7 Pd 0.376 0.376 0.874
8 Pd 0.624 0.624 0.126
9 Pd 0.625 0.625 0.625
10 Pd 0.874 0.874 0.376
11 S 0.157 0.481 0.261
12 S 0.261 0.601 0.157
13 S 0.399 0.739 0.519
14 S 0.481 0.157 0.601
15 S 0.519 0.843 0.399
16 S 0.601 0.261 0.481
17 S 0.739 0.399 0.843
18 S 0.843 0.519 0.739

3.
Material: Rb2Pd3Se2
Method: DFT, PBE-GGA
State: relaxed

Results
- Energy with MP2020 corrections: -4.0483 eV/atom
- Formation energy: -549 meV/atom

Cell lengths 14.117, 13.168, 8.496 Å; angles 78.06, 65.87, 36.07 degrees
Sites, in units of the cell vectors:
1 Rb 0.015 0.771 0.491
2 Rb 0.224 0.491 0.771
3 Rb 0.229 0.985 0.776
4 Rb 0.491 0.224 0.015
5 Rb 0.509 0.776 0.985
6 Rb 0.771 0.015 0.224
7 Rb 0.776 0.509 0.229
8 Rb 0.985 0.229 0.509
9 Pd 0.000 0.500 0.500
10 Pd 0.166 0.811 0.725
11 Pd 0.189 0.834 0.201
12 Pd 0.201 0.275 0.189
13 Pd 0.275 0.201 0.834
14 Pd 0.500 0.000 0.500
15 Pd 0.500 0.500 0.000
16 Pd 0.500 0.500 0.500
17 Pd 0.725 0.799 0.166
18 Pd 0.799 0.725 0.811
19 Pd 0.811 0.166 0.799
20 Pd 0.834 0.189 0.275
21 Se 0.009 0.411 0.786
22 Se 0.214 0.706 0.991
23 Se 0.294 0.786 0.411
24 Se 0.411 0.009 0.294
25 Se 0.589 0.991 0.706
26 Se 0.706 0.214 0.589
27 Se 0.786 0.294 0.009
28 Se 0.991 0.589 0.214